P:
# MnNiBi2O6 GGA+U optimized geometry
data_MnNiBi2O6
_chemical_formula_sum 'Mn2 Ni2 Bi4 O12'
_cell_length_a 5.512
_cell_length_b 5.512
_cell_length_c 9.727
_cell_angle_alpha 74.65
_cell_angle_beta 74.65
_cell_angle_gamma 59.67
_symmetry_space_group_name_H-M 'P 1'
_symmetry_Int_Tables_number 1
loop_
_symmetry_equiv_pos_as_xyz
'x,y,z'
loop_
_atom_site_label
_atom_site_type_symbol
_atom_site_fract_x
_atom_site_fract_y
_atom_site_fract_z
Mn1 Mn 0.000 0.500 0.000
O1 O 0.897 0.280 0.920
O2 O 0.280 0.897 0.420
O3 O 0.720 0.103 0.580
O4 O 0.379 0.303 0.888
Ni1 Ni 0.237 0.763 0.250
Bi1 Bi 0.906 0.365 0.378
O5 O 0.192 0.118 0.660
O6 O 0.103 0.720 0.080
O7 O 0.882 0.808 0.840
O8 O 0.118 0.192 0.160
O9 O 0.303 0.379 0.388
Bi2 Bi 0.365 0.906 0.878
Bi3 Bi 0.635 0.094 0.122
O10 O 0.621 0.697 0.112
Bi4 Bi 0.094 0.635 0.622
O11 O 0.808 0.882 0.340
Mn2 Mn 0.500 0.000 0.500
O12 O 0.697 0.621 0.612
Ni2 Ni 0.763 0.237 0.750
# - Space-group type: C2/c
# - Size of the total moment: 10.0 Bohr magnetons per cell

Q:
# MnNiBi2O6 GGA+U optimized geometry
data_MnNiBi2O6
_chemical_formula_sum 'Mn2 Ni2 Bi4 O12'
_cell_length_a 5.442
_cell_length_b 5.661
_cell_length_c 7.765
_cell_angle_alpha 90.00
_cell_angle_beta 89.74
_cell_angle_gamma 90.00
_symmetry_space_group_name_H-M 'P 1'
_symmetry_Int_Tables_number 1
loop_
_symmetry_equiv_pos_as_xyz
'x,y,z'
loop_
_atom_site_label
_atom_site_type_symbol
_atom_site_fract_x
_atom_site_fract_y
_atom_site_fract_z
O1 O 0.409 0.026 0.742
Bi1 Bi 0.510 0.443 0.750
O2 O 0.091 0.526 0.758
Ni1 Ni 0.000 0.500 0.500
O3 O 0.209 0.807 0.456
Bi2 Bi 0.010 0.057 0.250
O4 O 0.591 0.974 0.258
O5 O 0.909 0.474 0.242
Bi3 Bi 0.990 0.943 0.750
O6 O 0.709 0.693 0.956
O7 O 0.689 0.712 0.545
O8 O 0.189 0.788 0.045
O9 O 0.291 0.307 0.044
Ni2 Ni 0.500 0.000 0.000
Mn1 Mn 0.500 0.000 0.500
O10 O 0.811 0.212 0.955
O11 O 0.791 0.193 0.544
Mn2 Mn 0.000 0.500 0.000
O12 O 0.311 0.288 0.455
Bi4 Bi 0.490 0.557 0.250
# - Space-group type: P2_1/c
# - Size of the total moment: 10.0 Bohr magnetons per cell

Pick Q: it beats the second-best structure by 0.008 eV/atom.

P:
# Mn2Bi3O7 GGA+U optimized geometry
data_Mn2Bi3O7
_chemical_formula_sum 'Mn4 Bi6 O14'
_cell_length_a 10.692
_cell_length_b 10.692
_cell_length_c 5.802
_cell_angle_alpha 90.00
_cell_angle_beta 90.00
_cell_angle_gamma 148.34
_symmetry_space_group_name_H-M 'P 1'
_symmetry_Int_Tables_number 1
loop_
_symmetry_equiv_pos_as_xyz
'x,y,z'
loop_
_atom_site_label
_atom_site_type_symbol
_atom_site_fract_x
_atom_site_fract_y
_atom_site_fract_z
O1 O 0.369 0.941 0.070
O2 O 0.376 0.621 0.246
O3 O 0.059 0.631 0.570
Bi1 Bi 0.043 0.413 0.468
Bi2 Bi 0.587 0.957 0.968
O4 O 0.631 0.059 0.570
O5 O 0.882 0.073 0.214
O6 O 0.624 0.379 0.746
O7 O 0.118 0.927 0.714
O8 O 0.379 0.624 0.746
O9 O 0.927 0.118 0.714
O10 O 0.788 0.788 0.468
O11 O 0.941 0.369 0.070
Bi3 Bi 0.839 0.839 0.083
Bi4 Bi 0.161 0.161 0.583
Mn1 Mn 0.843 0.632 0.492
Mn2 Mn 0.632 0.843 0.492
O12 O 0.212 0.212 0.968
Bi5 Bi 0.957 0.587 0.968
O13 O 0.621 0.376 0.246
Mn3 Mn 0.368 0.157 0.992
O14 O 0.073 0.882 0.214
Mn4 Mn 0.157 0.368 0.992
Bi6 Bi 0.413 0.043 0.468
# - Space-group type: Cmc2_1
# - Size of the total moment: 18.0 Bohr magnetons per cell

Q:
# Mn2Bi3O7 GGA+U optimized geometry
data_Mn2Bi3O7
_chemical_formula_sum 'Mn4 Bi6 O14'
_cell_length_a 5.825
_cell_length_b 5.851
_cell_length_c 10.635
_cell_angle_alpha 104.92
_cell_angle_beta 90.01
_cell_angle_gamma 89.98
_symmetry_space_group_name_H-M 'P 1'
_symmetry_Int_Tables_number 1
loop_
_symmetry_equiv_pos_as_xyz
'x,y,z'
loop_
_atom_site_label
_atom_site_type_symbol
_atom_site_fract_x
_atom_site_fract_y
_atom_site_fract_z
Bi1 Bi 0.535 0.418 0.373
O1 O 0.928 0.931 0.567
O2 O 0.754 0.647 0.255
Mn1 Mn 0.511 0.844 0.214
Bi2 Bi 0.038 0.959 0.370
O3 O 0.428 0.069 0.433
O4 O 0.762 0.074 0.188
O5 O 0.032 0.227 0.005
O6 O 0.936 0.370 0.426
Bi3 Bi 0.035 0.582 0.627
Mn2 Mn 0.011 0.156 0.786
O7 O 0.275 0.626 0.254
O8 O 0.280 0.086 0.186
O9 O 0.780 0.914 0.814
Bi4 Bi 0.538 0.041 0.630
O10 O 0.254 0.353 0.745
O11 O 0.437 0.630 0.574
O12 O 0.775 0.374 0.746
O13 O 0.262 0.926 0.812
Bi5 Bi 0.912 0.850 0.000
Mn3 Mn 0.506 0.624 0.789
Bi6 Bi 0.412 0.150 0.000
O14 O 0.532 0.773 0.995
Mn4 Mn 0.006 0.375 0.211
# - Space-group type: P2_1
# - Size of the total moment: 0.0 Bohr magnetons per cell

Pick Q: it beats the second-best structure by 0.008 eV/atom.

P:
# BiMoO5 GGA+U optimized geometry
data_BiMoO5
_chemical_formula_sum 'Bi8 Mo8 O40'
_cell_length_a 6.233
_cell_length_b 11.999
_cell_length_c 16.274
_cell_angle_alpha 90.00
_cell_angle_beta 90.00
_cell_angle_gamma 90.00
_symmetry_space_group_name_H-M 'P 1'
_symmetry_Int_Tables_number 1
loop_
_symmetry_equiv_pos_as_xyz
'x,y,z'
loop_
_atom_site_label
_atom_site_type_symbol
_atom_site_fract_x
_atom_site_fract_y
_atom_site_fract_z
Bi1 Bi 0.575 0.820 0.710
O1 O 0.879 0.672 0.460
O2 O 0.148 0.011 0.838
O3 O 0.228 0.796 0.152
O4 O 0.121 0.828 0.960
O5 O 0.615 0.298 0.202
O6 O 0.379 0.328 0.040
O7 O 0.121 0.328 0.540
Bi2 Bi 0.425 0.180 0.290
Bi3 Bi 0.425 0.680 0.210
O8 O 0.648 0.989 0.662
Mo1 Mo 0.522 0.398 0.115
O9 O 0.648 0.489 0.838
O10 O 0.272 0.796 0.652
O11 O 0.728 0.204 0.348
O12 O 0.352 0.511 0.162
O13 O 0.749 0.954 0.928
O14 O 0.115 0.702 0.298
O15 O 0.249 0.046 0.572
O16 O 0.621 0.672 0.960
Mo2 Mo 0.522 0.898 0.385
O17 O 0.852 0.989 0.162
Mo3 Mo 0.478 0.602 0.885
O18 O 0.379 0.828 0.460
O19 O 0.885 0.298 0.702
O20 O 0.751 0.454 0.072
O21 O 0.772 0.204 0.848
O22 O 0.615 0.798 0.298
O23 O 0.352 0.011 0.338
Mo4 Mo 0.022 0.102 0.115
O24 O 0.251 0.546 0.428
O25 O 0.251 0.046 0.072
O26 O 0.148 0.511 0.662
O27 O 0.272 0.296 0.848
O28 O 0.885 0.798 0.798
Bi4 Bi 0.575 0.320 0.790
Bi5 Bi 0.925 0.320 0.290
O29 O 0.228 0.296 0.348
O30 O 0.728 0.704 0.152
O31 O 0.621 0.172 0.540
O32 O 0.249 0.546 0.928
O33 O 0.751 0.954 0.428
Bi6 Bi 0.925 0.820 0.210
O34 O 0.852 0.489 0.338
Bi7 Bi 0.075 0.180 0.790
O35 O 0.115 0.202 0.202
Bi8 Bi 0.075 0.680 0.710
O36 O 0.749 0.454 0.572
Mo5 Mo 0.022 0.602 0.385
O37 O 0.772 0.704 0.652
O38 O 0.385 0.202 0.702
O39 O 0.385 0.702 0.798
Mo6 Mo 0.978 0.398 0.615
Mo7 Mo 0.978 0.898 0.885
O40 O 0.879 0.172 0.040
Mo8 Mo 0.478 0.102 0.615
# - Space-group type: Pbca
# - Size of the total moment: 0.0 Bohr magnetons per cell

Q:
# BiMoO5 GGA+U optimized geometry
data_BiMoO5
_chemical_formula_sum 'Bi4 Mo4 O20'
_cell_length_a 5.787
_cell_length_b 9.193
_cell_length_c 11.384
_cell_angle_alpha 89.96
_cell_angle_beta 89.98
_cell_angle_gamma 107.58
_symmetry_space_group_name_H-M 'P 1'
_symmetry_Int_Tables_number 1
loop_
_symmetry_equiv_pos_as_xyz
'x,y,z'
loop_
_atom_site_label
_atom_site_type_symbol
_atom_site_fract_x
_atom_site_fract_y
_atom_site_fract_z
Mo1 Mo 0.786 0.948 0.644
O1 O 0.680 0.513 0.553
O2 O 0.871 0.529 0.273
O3 O 0.533 0.368 0.086
O4 O 0.370 0.029 0.227
Bi1 Bi 0.666 0.666 0.411
O5 O 0.426 0.166 0.466
O6 O 0.033 0.869 0.414
O7 O 0.027 0.157 0.296
O8 O 0.467 0.632 0.914
Mo2 Mo 0.714 0.552 0.143
O9 O 0.527 0.657 0.204
Mo3 Mo 0.286 0.448 0.857
O10 O 0.630 0.971 0.773
O11 O 0.967 0.131 0.586
Bi2 Bi 0.833 0.834 0.911
Bi3 Bi 0.334 0.334 0.589
O12 O 0.821 0.987 0.053
O13 O 0.973 0.843 0.704
O14 O 0.179 0.013 0.947
O15 O 0.129 0.471 0.727
O16 O 0.925 0.666 0.035
Bi4 Bi 0.167 0.166 0.089
O17 O 0.075 0.334 0.965
O18 O 0.574 0.834 0.534
Mo4 Mo 0.214 0.052 0.356
O19 O 0.320 0.487 0.447
O20 O 0.473 0.343 0.796
# - Space-group type: P-1
# - Size of the total moment: 3.5 Bohr magnetons per cell

Pick Q: it beats the second-best structure by 0.028 eV/atom.

P:
# Bi14MoO24 GGA+U optimized geometry
data_Bi14MoO24
_chemical_formula_sum 'Bi14 Mo1 O24'
_cell_length_a 8.933
_cell_length_b 8.939
_cell_length_c 10.621
_cell_angle_alpha 114.55
_cell_angle_beta 114.36
_cell_angle_gamma 90.51
_symmetry_space_group_name_H-M 'P 1'
_symmetry_Int_Tables_number 1
loop_
_symmetry_equiv_pos_as_xyz
'x,y,z'
loop_
_atom_site_label
_atom_site_type_symbol
_atom_site_fract_x
_atom_site_fract_y
_atom_site_fract_z
Bi1 Bi 0.714 0.133 0.659
O1 O 0.616 0.116 0.230
O2 O 0.324 0.499 0.493
O3 O 0.381 0.884 0.765
O4 O 0.595 0.307 0.839
Bi2 Bi 0.936 0.526 0.656
O5 O 0.237 0.540 0.841
Bi3 Bi 0.654 0.658 0.319
O6 O 0.695 0.762 0.158
O7 O 0.962 0.858 0.049
Bi4 Bi 0.562 0.219 0.999
O8 O 0.881 0.866 0.755
O9 O 0.107 0.619 0.228
O10 O 0.002 0.669 0.497
O11 O 0.758 0.467 0.162
O12 O 0.169 0.001 0.497
O13 O 0.996 0.329 0.493
O14 O 0.843 0.146 0.000
Bi5 Bi 0.441 0.782 0.998
Bi6 Bi 0.132 0.941 0.660
Bi7 Bi 0.217 0.438 0.997
Bi8 Bi 0.053 0.470 0.333
Mo1 Mo 0.968 0.991 0.961
O15 O 0.668 0.496 0.492
Bi9 Bi 0.468 0.276 0.332
O16 O 0.881 0.381 0.765
Bi10 Bi 0.521 0.720 0.653
Bi11 Bi 0.342 0.341 0.682
O17 O 0.298 0.241 0.837
Bi12 Bi 0.785 0.566 0.003
O18 O 0.460 0.403 0.161
Bi13 Bi 0.864 0.059 0.335
O19 O 0.539 0.607 0.841
O20 O 0.496 0.176 0.503
O21 O 0.487 0.824 0.488
O22 O 0.826 0.006 0.498
Bi14 Bi 0.271 0.866 0.330
O23 O 0.180 0.094 0.029
O24 O 0.395 0.697 0.156
# - Space-group type: P1

Q:
# Bi14MoO24 GGA+U optimized geometry
data_Bi14MoO24
_chemical_formula_sum 'Bi28 Mo2 O48'
_cell_length_a 10.548
_cell_length_b 10.561
_cell_length_c 12.388
_cell_angle_alpha 90.48
_cell_angle_beta 89.87
_cell_angle_gamma 107.98
_symmetry_space_group_name_H-M 'P 1'
_symmetry_Int_Tables_number 1
loop_
_symmetry_equiv_pos_as_xyz
'x,y,z'
loop_
_atom_site_label
_atom_site_type_symbol
_atom_site_fract_x
_atom_site_fract_y
_atom_site_fract_z
Bi1 Bi 0.035 0.368 0.093
O1 O 0.577 0.736 0.973
Bi2 Bi 0.119 0.118 0.319
Bi3 Bi 0.340 0.660 0.000
Bi4 Bi 0.371 0.037 0.096
O2 O 0.443 0.607 0.151
O3 O 0.168 0.668 0.833
O4 O 0.584 0.089 0.084
O5 O 0.331 0.834 0.666
Bi5 Bi 0.076 0.741 0.203
O6 O 0.608 0.607 0.393
Bi6 Bi 0.617 0.616 0.833
O7 O 0.334 0.833 0.168
O8 O 0.128 0.359 0.250
O9 O 0.117 0.131 0.913
Bi7 Bi 0.257 0.923 0.798
O10 O 0.915 0.423 0.420
O11 O 0.634 0.865 0.747
O12 O 0.419 0.915 0.420
Bi8 Bi 0.924 0.259 0.797
O13 O 0.867 0.634 0.248
O14 O 0.883 0.869 0.087
Bi9 Bi 0.629 0.963 0.904
O15 O 0.264 0.424 0.026
O16 O 0.423 0.264 0.027
Bi10 Bi 0.755 0.427 0.299
O17 O 0.635 0.868 0.245
Bi11 Bi 0.175 0.176 0.620
Mo1 Mo 0.500 0.500 0.500
O18 O 0.912 0.420 0.916
Bi12 Bi 0.873 0.534 0.590
O19 O 0.238 0.073 0.477
O20 O 0.096 0.080 0.124
Bi13 Bi 0.127 0.466 0.410
O21 O 0.057 0.893 0.344
Bi14 Bi 0.681 0.681 0.121
O22 O 0.366 0.135 0.253
O23 O 0.074 0.241 0.477
O24 O 0.669 0.166 0.334
Bi15 Bi 0.660 0.340 0.000
O25 O 0.666 0.167 0.832
Bi16 Bi 0.467 0.129 0.412
Bi17 Bi 0.573 0.244 0.702
O26 O 0.133 0.366 0.752
O27 O 0.894 0.057 0.342
Bi18 Bi 0.383 0.384 0.167
Bi19 Bi 0.881 0.882 0.681
Bi20 Bi 0.427 0.756 0.298
O28 O 0.943 0.107 0.656
O29 O 0.167 0.669 0.334
O30 O 0.106 0.943 0.658
Mo2 Mo 0.000 0.000 0.000
Bi21 Bi 0.245 0.573 0.701
Bi22 Bi 0.319 0.319 0.879
O31 O 0.736 0.576 0.974
Bi23 Bi 0.743 0.077 0.202
Bi24 Bi 0.159 0.842 0.500
O32 O 0.872 0.641 0.750
O33 O 0.762 0.927 0.523
O34 O 0.557 0.393 0.849
O35 O 0.365 0.132 0.755
Bi25 Bi 0.825 0.824 0.380
O36 O 0.085 0.577 0.580
O37 O 0.393 0.557 0.847
O38 O 0.416 0.911 0.916
O39 O 0.392 0.393 0.607
Bi26 Bi 0.533 0.871 0.588
O40 O 0.833 0.331 0.666
O41 O 0.581 0.085 0.580
O42 O 0.926 0.759 0.523
O43 O 0.088 0.580 0.084
O44 O 0.390 0.613 0.502
O45 O 0.904 0.920 0.876
O46 O 0.832 0.332 0.167
O47 O 0.610 0.387 0.498
O48 O 0.607 0.443 0.153
Bi27 Bi 0.841 0.158 0.500
Bi28 Bi 0.965 0.632 0.907
# - Space-group type: P-1
# - Size of the total moment: 2.9 Bohr magnetons per cell

Pick P: it beats the second-best structure by 0.098 eV/atom.